[1]
Here is a relaxed YCuS2 crystal from the Materials Project. Energies are from PBE.

The structure in POSCAR format:
```
YCuS2
1.0
13.4888 0.0000 0.0000
0.0000 3.9622 0.0000
0.0000 0.0000 6.2650
Y Cu S
4 4 8
Cartesian
1.8010 0.9905 0.0001
4.9435 2.9716 3.1326
8.5454 0.9905 3.1324
11.6879 2.9716 6.2648
0.6006 2.9716 2.3443
6.1438 0.9905 5.4767
7.3450 2.9716 0.7882
12.8882 0.9905 3.9207
0.5326 2.9716 4.7149
2.7464 2.9716 1.5156
3.9981 0.9905 4.6481
6.2118 0.9905 1.5824
7.2771 2.9716 4.6826
9.4908 2.9716 1.6169
10.7425 0.9905 4.7494
12.9562 0.9905 1.5501
```

## Properties
DFT formation energy: -1.624 eV/atom


[2]
Here is a relaxed Mg2Ti3MnS8 crystal from the Materials Project. Energies are from PBE.

The structure in POSCAR format:
```
Mg2Ti3MnS8
1.0
6.2837 -3.6309 0.0000
6.2837 3.6309 0.0000
-4.1839 0.0000 6.1374
Mg Ti Mn S
2 3 1 8
Cartesian
0.0004 0.0000 2.3054
8.3832 0.0000 3.8320
3.1419 1.8155 0.0000
3.1419 -1.8155 0.0000
6.2837 0.0000 0.0000
4.1918 0.0000 3.0687
2.2609 0.0000 1.4340
5.1541 1.6705 1.4333
0.0044 0.0000 4.7594
3.2295 1.6705 4.7041
5.1541 -1.6705 1.4333
8.3792 0.0000 1.3780
3.2295 -1.6705 4.7041
6.1227 0.0000 4.7034
```

## Properties
DFT formation energy: -1.492 eV/atom


[3]
Here is a relaxed MoC crystal from the Materials Project. Energies are from PBE.

The structure in POSCAR format:
```
MoC
1.0
0.0000 2.1916 2.1916
2.1916 0.0000 2.1916
2.1916 2.1916 0.0000
Mo C
1 1
Cartesian
0.0000 0.0000 0.0000
2.1916 2.1916 2.1916
```

## Properties
excess energy over the best structure of this formula in the dataset: 0.297 eV per atom
DFT formation energy: 0.214 eV/atom


[4]
Here is a relaxed Mo15Se19 crystal from the Materials Project. Energies are from PBE.

The structure in POSCAR format:
```
Mo15Se19
1.0
9.6293 0.0000 0.0000
-4.8147 8.3392 0.0000
0.0000 0.0000 19.8520
Mo Se
30 38
Cartesian
-0.6212 1.4264 1.1842
-0.6212 1.4264 8.7418
-3.2687 8.1640 1.1842
-3.2687 8.1640 8.7418
-0.8731 4.2704 4.9630
0.9247 1.2512 11.1102
0.9247 1.2512 18.6678
-1.5480 5.7327 2.6490
-1.5480 5.7327 7.2770
0.6240 4.1323 2.6490
0.6240 4.1323 7.2770
-0.6799 6.9602 4.9630
1.5530 5.4479 4.9630
3.8907 1.5258 12.5749
3.8907 1.5258 17.2030
0.9239 6.8135 2.6490
0.9239 6.8135 7.2770
3.2617 2.8913 14.8890
5.4945 1.3791 14.8890
4.1906 4.2069 12.5749
4.1906 4.2069 17.2030
6.3626 2.6066 12.5749
6.3626 2.6066 17.2030
3.8900 7.0880 1.1842
3.8900 7.0880 8.7418
5.6878 4.0689 14.8890
8.0834 0.1752 11.1102
8.0834 0.1752 18.6678
5.4359 6.9128 11.1102
5.4359 6.9128 18.6678
0.0000 0.0000 3.1999
0.0000 0.0000 6.7261
0.0000 0.0000 13.1259
0.0000 0.0000 16.6521
-1.7788 3.1322 2.8565
-1.7788 3.1322 7.0695
-1.2340 2.7275 10.8801
-1.2340 2.7275 18.8979
-2.9842 5.8045 4.9630
-1.8356 8.0441 10.8801
-1.8356 8.0441 18.8979
1.2799 2.8526 4.9630
1.7451 2.4324 0.9541
1.7451 2.4324 8.9719
0.0000 5.5595 0.6329
0.0000 5.5595 9.2931
3.1104 0.3179 14.8890
-1.2127 8.3136 2.8565
-1.2127 8.3136 7.0695
1.8232 3.1066 12.7825
1.8232 3.1066 16.9955
2.9915 5.2326 2.8565
2.9915 5.2326 7.0695
6.0273 0.0256 12.7825
6.0273 0.0256 16.9955
1.7043 8.0213 4.9630
4.8147 2.7797 10.5589
4.8147 2.7797 19.2191
3.0695 5.9068 10.8801
3.0695 5.9068 18.8979
3.5348 5.4866 14.8890
6.6502 0.2951 0.9541
6.6502 0.2951 8.9719
7.7988 2.5347 14.8890
6.0486 5.6117 0.9541
6.0486 5.6117 8.9719
6.5935 5.2070 12.7825
6.5935 5.2070 16.9955
```

## Properties
excess energy over the best structure of this formula in the dataset: 0.000 eV per atom
DFT formation energy: -0.764 eV/atom